[1]
Density functional theory data (GGA-PBE) for Na3Sb3As2O14 after structural relaxation.

Lattice parameters (Å, degrees): 6.567 7.382 12.725 90.00 107.15 90.00
Fractional positions:
Na 0.000 0.000 0.000
Na 0.000 0.500 0.500
Na 0.464 0.213 0.067
Na 0.464 0.287 0.567
Na 0.536 0.713 0.433
Na 0.536 0.787 0.933
Sb 0.000 0.000 0.500
Sb 0.000 0.500 0.000
Sb 0.023 0.241 0.253
Sb 0.023 0.259 0.753
Sb 0.977 0.741 0.247
Sb 0.977 0.759 0.747
As 0.416 0.735 0.160
As 0.416 0.765 0.660
As 0.584 0.235 0.340
As 0.584 0.265 0.840
O 0.033 0.704 0.905
O 0.033 0.796 0.405
O 0.067 0.006 0.803
O 0.067 0.494 0.303
O 0.101 0.190 0.416
O 0.101 0.310 0.916
O 0.295 0.726 0.763
O 0.295 0.774 0.263
O 0.317 0.531 0.092
O 0.317 0.969 0.592
O 0.330 0.188 0.256
O 0.330 0.312 0.756
O 0.390 0.595 0.571
O 0.390 0.905 0.071
O 0.610 0.095 0.929
O 0.610 0.405 0.429
O 0.670 0.688 0.244
O 0.670 0.812 0.744
O 0.683 0.031 0.408
O 0.683 0.469 0.908
O 0.705 0.226 0.737
O 0.705 0.274 0.237
O 0.899 0.690 0.084
O 0.899 0.810 0.584
O 0.933 0.506 0.697
O 0.933 0.994 0.197
O 0.967 0.204 0.595
O 0.967 0.296 0.095

Results
E (MP2020): -6.244 eV/atom
V: 13.40 Å³/atom
formation energy: -1928 meV per atom
space-group type: P2_1/c
raw total energy: -0.4268 Ry/atom
crystal system: monoclinic

***

[2]
Density functional theory data (GGA-PBE) for TiZnSbP3O12 after structural relaxation.

Lattice parameters (Å, degrees): 8.410 8.410 8.410 63.81 63.81 63.81
Fractional positions:
Ti 0.000 0.000 0.000
Ti 0.500 0.500 0.500
Zn 0.155 0.155 0.155
Zn 0.655 0.655 0.655
Sb 0.314 0.314 0.314
Sb 0.814 0.814 0.814
P 0.084 0.396 0.718
P 0.218 0.896 0.584
P 0.396 0.718 0.084
P 0.584 0.218 0.896
P 0.718 0.084 0.396
P 0.896 0.584 0.218
O 0.067 0.405 0.235
O 0.079 0.242 0.911
O 0.082 0.325 0.583
O 0.083 0.825 0.582
O 0.147 0.948 0.769
O 0.235 0.067 0.405
O 0.242 0.911 0.079
O 0.269 0.448 0.647
O 0.325 0.583 0.082
O 0.405 0.235 0.067
O 0.411 0.742 0.579
O 0.448 0.647 0.269
O 0.567 0.735 0.905
O 0.579 0.411 0.742
O 0.582 0.083 0.825
O 0.583 0.082 0.325
O 0.647 0.269 0.448
O 0.735 0.905 0.567
O 0.742 0.579 0.411
O 0.769 0.147 0.948
O 0.825 0.582 0.083
O 0.905 0.567 0.735
O 0.911 0.079 0.242
O 0.948 0.769 0.147

Results
E (MP2020): -7.497 eV/atom
V: 12.66 Å³/atom
total magnetization: 0.000 μB/cell
formation energy: -2558 meV per atom
space-group type: R3c
raw total energy: -0.5174 Ry/atom
crystal system: trigonal

***

[3]
Density functional theory data (GGA-PBE) for B2O3 after structural relaxation.

Lattice parameters (Å, degrees): 10.892 11.092 11.798 87.87 89.33 88.95
Fractional positions:
B 0.000 0.000 0.000
B 0.000 0.254 0.724
B 0.019 0.958 0.478
B 0.062 0.689 0.703
B 0.093 0.161 0.544
B 0.109 0.756 0.132
B 0.115 0.431 0.259
B 0.202 0.032 0.930
B 0.215 0.214 0.796
B 0.247 0.748 0.582
B 0.251 0.886 0.248
B 0.265 0.650 0.989
B 0.287 0.266 0.588
B 0.289 0.421 0.944
B 0.313 0.312 0.261
B 0.321 0.843 0.886
B 0.344 0.094 0.190
B 0.376 0.907 0.684
B 0.378 0.752 0.399
B 0.445 0.346 0.441
B 0.533 0.012 0.072
B 0.546 0.055 0.656
B 0.579 0.627 0.976
B 0.596 0.709 0.462
B 0.603 0.018 0.868
B 0.647 0.423 0.373
B 0.653 0.091 0.468
B 0.657 0.811 0.086
B 0.671 0.712 0.661
B 0.726 0.055 0.331
B 0.737 0.844 0.815
B 0.812 0.641 0.382
B 0.828 0.272 0.029
B 0.839 0.376 0.830
B 0.854 0.579 0.731
B 0.855 0.092 0.151
B 0.878 0.739 0.166
B 0.963 0.277 0.185
B 0.969 0.834 0.840
B 0.974 0.590 0.331
O 0.010 0.188 0.626
O 0.029 0.346 0.258
O 0.064 0.781 0.779
O 0.070 0.064 0.476
O 0.078 0.550 0.284
O 0.091 0.254 0.802
O 0.106 0.068 0.999
O 0.147 0.830 0.213
O 0.156 0.675 0.626
O 0.188 0.687 0.070
O 0.199 0.222 0.517
O 0.238 0.413 0.244
O 0.249 0.101 0.843
O 0.255 0.918 0.955
O 0.264 0.005 0.219
O 0.281 0.853 0.630
O 0.282 0.319 0.906
O 0.286 0.250 0.702
O 0.288 0.525 0.989
O 0.301 0.211 0.202
O 0.303 0.711 0.485
O 0.326 0.720 0.910
O 0.337 0.827 0.313
O 0.386 0.327 0.541
O 0.393 0.885 0.797
O 0.408 0.321 0.336
O 0.450 0.985 0.622
O 0.458 0.073 0.145
O 0.500 0.716 0.390
O 0.535 0.051 0.961
O 0.557 0.530 0.938
O 0.563 0.396 0.449
O 0.579 0.071 0.764
O 0.584 0.718 0.576
O 0.593 0.736 0.015
O 0.601 0.915 0.115
O 0.608 0.120 0.571
O 0.654 0.797 0.742
O 0.684 0.978 0.425
O 0.687 0.169 0.377
O 0.701 0.937 0.881
O 0.710 0.694 0.412
O 0.726 0.468 0.309
O 0.763 0.628 0.661
O 0.765 0.768 0.130
O 0.777 0.171 0.077
O 0.782 0.023 0.238
O 0.795 0.314 0.923
O 0.821 0.498 0.816
O 0.852 0.792 0.821
O 0.887 0.678 0.277
O 0.893 0.315 0.740
O 0.908 0.569 0.429
O 0.911 0.001 0.078
O 0.919 0.334 0.086
O 0.945 0.161 0.213
O 0.975 0.602 0.707
O 0.979 0.855 0.478
O 0.985 0.746 0.108
O 0.997 0.924 0.907

Results
E (MP2020): -8.310 eV/atom
V: 14.24 Å³/atom
total magnetization: 0.000 μB/cell
formation energy: -2669 meV per atom
space-group type: P1
raw total energy: -0.5805 Ry/atom
crystal system: triclinic

***

[4]
Density functional theory data (GGA-PBE) for KNa4Te2PdO22 after structural relaxation.

Lattice parameters (Å, degrees): 7.406 11.368 11.752 94.48 91.30 104.65
Fractional positions:
K 0.221 0.080 0.203
K 0.779 0.920 0.797
Na 0.088 0.535 0.755
Na 0.104 0.148 0.651
Na 0.327 0.023 0.865
Na 0.377 0.468 0.296
Na 0.623 0.532 0.704
Na 0.673 0.977 0.135
Na 0.896 0.852 0.349
Na 0.912 0.465 0.245
Te 0.215 0.856 0.618
Te 0.315 0.739 0.177
Te 0.685 0.261 0.823
Te 0.785 0.144 0.382
Pd 0.435 0.915 0.390
Pd 0.565 0.085 0.610
O 0.001 0.813 0.516
O 0.036 0.310 0.906
O 0.061 0.376 0.080
O 0.103 0.223 0.930
O 0.104 0.962 0.709
O 0.135 0.293 0.104
O 0.141 0.933 0.011
O 0.169 0.721 0.701
O 0.196 0.600 0.253
O 0.207 0.848 0.278
O 0.236 0.503 0.479
O 0.285 0.532 0.581
O 0.328 0.010 0.513
O 0.338 0.782 0.491
O 0.339 0.342 0.489
O 0.358 0.846 0.058
O 0.375 0.373 0.593
O 0.388 0.614 0.087
O 0.419 0.609 0.867
O 0.454 0.716 0.840
O 0.458 0.190 0.730
O 0.461 0.937 0.698
O 0.539 0.063 0.302
O 0.542 0.810 0.270
O 0.546 0.284 0.160
O 0.581 0.391 0.133
O 0.612 0.386 0.913
O 0.625 0.627 0.407
O 0.642 0.154 0.942
O 0.661 0.658 0.511
O 0.662 0.218 0.509
O 0.672 0.990 0.487
O 0.715 0.468 0.419
O 0.764 0.497 0.521
O 0.793 0.152 0.722
O 0.804 0.400 0.747
O 0.831 0.279 0.299
O 0.859 0.067 0.989
O 0.865 0.707 0.896
O 0.896 0.038 0.291
O 0.897 0.777 0.070
O 0.939 0.624 0.920
O 0.964 0.690 0.094
O 0.999 0.187 0.484

Results
E (MP2020): -4.904 eV/atom
V: 15.89 Å³/atom
total magnetization: 14.000 μB/cell
formation energy: -680 meV per atom
space-group type: P-1
raw total energy: -0.3518 Ry/atom
crystal system: triclinic